First-principles (r2SCAN) data for an optimized crystal structure of La3Er, as listed in the Materials Project database.

a = 5.198 Å, b = 5.198 Å, c = 10.503 Å
α = 90.00°, β = 90.00°, γ = 90.00°
Space group I4/mmm (No. 139)
Inequivalent atoms, fractional coordinates:
La: 0.000 0.000 0.000 x2
La: 0.000 0.500 0.250 x4
Er: 0.000 0.000 0.500 x2

Output
Formation enthalpy at 0 K = 0.03 eV/atom

=====

First-principles (r2SCAN) data for an optimized crystal structure of LaErMg2, as listed in the Materials Project database.

a = 7.723 Å, b = 7.723 Å, c = 7.723 Å
α = 90.00°, β = 90.00°, γ = 90.00°
Space group Fm-3m (No. 225)
Inequivalent atoms, fractional coordinates:
La: 0.000 0.000 0.000 x4
Er: 0.000 0.000 0.500 x4
Mg: 0.250 0.250 0.250 x8

Output
Formation enthalpy at 0 K = -0.09 eV/atom

=====

First-principles (r2SCAN) data for an optimized crystal structure of LaErS3, as listed in the Materials Project database.

a = 11.076 Å, b = 4.002 Å, c = 21.610 Å
α = 90.00°, β = 101.32°, γ = 90.00°
Space group P2_1/m (No. 11)
Inequivalent atoms, fractional coordinates:
La: 0.092 0.250 0.365 x2
La: 0.200 0.250 0.036 x2
La: 0.301 0.750 0.734 x2
La: 0.310 0.250 0.234 x2
Er: 0.028 0.250 0.850 x2
Er: 0.181 0.250 0.547 x2
Er: 0.447 0.250 0.917 x2
Er: 0.478 0.750 0.413 x2
S: 0.036 0.250 0.230 x2
S: 0.057 0.750 0.943 x2
S: 0.087 0.750 0.465 x2
S: 0.125 0.250 0.662 x2
S: 0.205 0.750 0.135 x2
S: 0.253 0.750 0.328 x2
S: 0.254 0.250 0.825 x2
S: 0.343 0.750 0.598 x2
S: 0.358 0.750 0.986 x2
S: 0.366 0.250 0.465 x2
S: 0.456 0.250 0.134 x2
S: 0.492 0.250 0.720 x2

Output
Formation enthalpy at 0 K = -2.46 eV/atom

=====

First-principles (r2SCAN) data for an optimized crystal structure of La10Er9S27, as listed in the Materials Project database.

a = 3.936 Å, b = 15.026 Å, c = 18.889 Å
α = 99.18°, β = 95.98°, γ = 97.52°
Space group P1 (No. 1)
Inequivalent atoms, fractional coordinates:
La: 0.000 0.000 0.000 x1
La: 0.007 0.305 0.711 x1
La: 0.074 0.234 0.915 x1
La: 0.204 0.520 0.888 x1
La: 0.244 0.162 0.327 x1
La: 0.373 0.448 0.300 x1
La: 0.439 0.376 0.505 x1
La: 0.449 0.682 0.216 x1
La: 0.642 0.887 0.399 x1
La: 0.805 0.794 0.817 x1
Er: 0.057 0.648 0.468 x1
Er: 0.064 0.932 0.195 x1
Er: 0.386 0.750 0.021 x1
Er: 0.388 0.033 0.747 x1
Er: 0.620 0.558 0.684 x1
Er: 0.680 0.222 0.136 x1
Er: 0.723 0.840 0.608 x1
Er: 0.770 0.459 0.079 x1
Er: 0.827 0.124 0.531 x1
S: 0.030 0.447 0.615 x1
S: 0.053 0.815 0.292 x1
S: 0.137 0.113 0.160 x1
S: 0.169 0.834 0.507 x1
S: 0.204 0.644 0.766 x1
S: 0.225 0.341 0.108 x1
S: 0.243 0.037 0.449 x1
S: 0.276 0.847 0.709 x1
S: 0.313 0.569 0.055 x1
S: 0.395 0.867 0.923 x1
S: 0.416 0.234 0.600 x1
S: 0.503 0.214 0.793 x1
S: 0.511 0.927 0.093 x1
S: 0.515 0.659 0.374 x1
S: 0.569 0.145 0.994 x1
S: 0.608 0.441 0.777 x1
S: 0.611 0.654 0.572 x1
S: 0.650 0.013 0.287 x1
S: 0.664 0.387 0.940 x1
S: 0.785 0.294 0.275 x1
S: 0.798 0.669 0.928 x1
S: 0.834 0.027 0.644 x1
S: 0.839 0.240 0.439 x1
S: 0.879 0.537 0.222 x1
S: 0.930 0.022 0.842 x1
S: 0.939 0.754 0.122 x1
S: 0.943 0.467 0.422 x1

Output
Formation enthalpy at 0 K = -2.49 eV/atom

=====

First-principles (r2SCAN) data for an optimized crystal structure of Li3Er3Te2O12, as listed in the Materials Project database.

a = 12.176 Å, b = 12.176 Å, c = 12.176 Å
α = 90.00°, β = 90.00°, γ = 90.00°
Space group Ia-3d (No. 230)
Inequivalent atoms, fractional coordinates:
Li: 0.000 0.250 0.375 x24
Er: 0.000 0.250 0.125 x24
Te: 0.000 0.000 0.000 x16
O: 0.026 0.054 0.646 x96

Output
Formation enthalpy at 0 K = -2.63 eV/atom

=====

First-principles (r2SCAN) data for an optimized crystal structure of LiErS2, as listed in the Materials Project database.

a = 5.365 Å, b = 5.365 Å, c = 11.046 Å
α = 90.00°, β = 90.00°, γ = 90.00°
Space group I4_1/amd (No. 141, origin choice 2)
Inequivalent atoms, fractional coordinates:
Li: 0.000 0.250 0.375 x4
Er: 0.000 0.250 0.875 x4
S: 0.000 0.250 0.119 x8

Output
Formation enthalpy at 0 K = -2.12 eV/atom

=====

First-principles (r2SCAN) data for an optimized crystal structure of LiErS2, as listed in the Materials Project database.

a = 3.8617 Å, b = 3.8617 Å, c = 18.3512 Å
α = 90.00°, β = 90.00°, γ = 120.00°
Space group R-3m (No. 166, hexagonal axes)
Inequivalent atoms, fractional coordinates:
Li: 0.0000 0.0000 0.0000 x3
Er: 0.0000 0.0000 0.5000 x3
S: 0.0000 0.0000 0.2496 x6

Output
Formation enthalpy at 0 K = -2.12 eV/atom

=====

First-principles (r2SCAN) data for an optimized crystal structure of LiErSn, as listed in the Materials Project database.

a = 9.2650 Å, b = 9.2650 Å, c = 7.2408 Å
α = 90.00°, β = 90.00°, γ = 120.00°
Space group P6_3mc (No. 186)
Inequivalent atoms, fractional coordinates:
Li: 0.1669 0.3337 0.0000 x6
Li: 0.3333 0.6667 0.6144 x2
Er: 0.0000 0.0000 0.2894 x2
Er: 0.0230 0.5115 0.2947 x6
Sn: 0.1666 0.3333 0.5580 x6
Sn: 0.3333 0.6667 0.0286 x2

Output
Formation enthalpy at 0 K = -0.74 eV/atom

=====

First-principles (r2SCAN) data for an optimized crystal structure of ErLu3, as listed in the Materials Project database.

a = 7.0701 Å, b = 7.0701 Å, c = 5.4647 Å
α = 90.00°, β = 90.00°, γ = 120.00°
Space group P6_3/mmc (No. 194)
Inequivalent atoms, fractional coordinates:
Er: 0.3333 0.6667 0.2500 x2
Lu: 0.1663 0.3325 0.7500 x6

Output
Formation enthalpy at 0 K = 0.00 eV/atom

=====

First-principles (r2SCAN) data for an optimized crystal structure of ErLuPd2, as listed in the Materials Project database.

a = 6.864 Å, b = 6.864 Å, c = 6.864 Å
α = 90.00°, β = 90.00°, γ = 90.00°
Space group Fm-3m (No. 225)
Inequivalent atoms, fractional coordinates:
Er: 0.000 0.000 0.000 x4
Lu: 0.000 0.000 0.500 x4
Pd: 0.250 0.250 0.250 x8

Output
Formation enthalpy at 0 K = -0.98 eV/atom

=====

First-principles (r2SCAN) data for an optimized crystal structure of ErLuZn2, as listed in the Materials Project database.

a = 6.971 Å, b = 6.971 Å, c = 6.971 Å
α = 90.00°, β = 90.00°, γ = 90.00°
Space group Fm-3m (No. 225)
Inequivalent atoms, fractional coordinates:
Er: 0.000 0.000 0.000 x4
Lu: 0.000 0.000 0.500 x4
Zn: 0.250 0.250 0.250 x8

Output
Formation enthalpy at 0 K = -0.40 eV/atom

=====

First-principles (r2SCAN) data for an optimized crystal structure of ErMg2, as listed in the Materials Project database.

a = 8.455 Å, b = 8.455 Å, c = 8.455 Å
α = 90.00°, β = 90.00°, γ = 90.00°
Space group Fd-3m (No. 227, origin choice 2)
Inequivalent atoms, fractional coordinates:
Er: 0.125 0.125 0.125 x8
Mg: 0.000 0.000 0.500 x16

Output
Formation enthalpy at 0 K = -0.07 eV/atom

=====

First-principles (r2SCAN) data for an optimized crystal structure of Er2Mg, as listed in the Materials Project database.

a = 3.652 Å, b = 5.387 Å, c = 8.689 Å
α = 90.00°, β = 102.11°, γ = 90.00°
Space group Pm (No. 6)
Inequivalent atoms, fractional coordinates:
Er: 0.000 0.000 0.000 x1
Er: 0.135 0.500 0.271 x1
Er: 0.319 0.000 0.640 x1
Er: 0.456 0.500 0.911 x1
Mg: 0.659 0.000 0.322 x1
Mg: 0.791 0.500 0.589 x1

Output
Formation enthalpy at 0 K = -0.05 eV/atom

=====

First-principles (r2SCAN) data for an optimized crystal structure of ErMg2, as listed in the Materials Project database.

a = 5.9864 Å, b = 5.9864 Å, c = 9.7421 Å
α = 90.00°, β = 90.00°, γ = 120.00°
Space group P6_3/mmc (No. 194)
Inequivalent atoms, fractional coordinates:
Er: 0.3333 0.6667 0.0656 x4
Mg: 0.0000 0.0000 0.0000 x2
Mg: 0.1710 0.3420 0.7500 x6

Output
Formation enthalpy at 0 K = -0.06 eV/atom

=====

First-principles (r2SCAN) data for an optimized crystal structure of Er2Mg, as listed in the Materials Project database.

a = 3.577 Å, b = 3.577 Å, c = 13.249 Å
α = 90.00°, β = 90.00°, γ = 90.00°
Space group I4/mmm (No. 139)
Inequivalent atoms, fractional coordinates:
Er: 0.000 0.000 0.161 x4
Mg: 0.000 0.000 0.500 x2

Output
Formation enthalpy at 0 K = -0.04 eV/atom

=====

First-principles (r2SCAN) data for an optimized crystal structure of ErMg, as listed in the Materials Project database.

a = 3.761 Å, b = 3.761 Å, c = 3.761 Å
α = 90.00°, β = 90.00°, γ = 90.00°
Space group Pm-3m (No. 221)
Inequivalent atoms, fractional coordinates:
Er: 0.000 0.000 0.000 x1
Mg: 0.500 0.500 0.500 x1

Output
Formation enthalpy at 0 K = -0.08 eV/atom

=====

First-principles (r2SCAN) data for an optimized crystal structure of Er5Mg, as listed in the Materials Project database.

a = 6.0624 Å, b = 6.0624 Å, c = 16.4995 Å
α = 90.00°, β = 90.00°, γ = 120.00°
Space group R32 (No. 155, hexagonal axes)
Inequivalent atoms, fractional coordinates:
Er: 0.0000 0.0000 0.1679 x6
Er: 0.0000 0.6625 0.0000 x9
Mg: 0.0000 0.0000 0.5000 x3

Output
Formation enthalpy at 0 K = 0.04 eV/atom

=====

First-principles (r2SCAN) data for an optimized crystal structure of NdErMg2, as listed in the Materials Project database.

a = 7.649 Å, b = 7.649 Å, c = 7.649 Å
α = 90.00°, β = 90.00°, γ = 90.00°
Space group Fm-3m (No. 225)
Inequivalent atoms, fractional coordinates:
Nd: 0.000 0.000 0.000 x4
Er: 0.000 0.000 0.500 x4
Mg: 0.250 0.250 0.250 x8

Output
Formation enthalpy at 0 K = -0.09 eV/atom

=====

Calculated V (Å³ per cell), listed in the same order as above: 283.8, 460.6, 939.2, 1084.4, 1805.4, 318.0, 237.0, 538.3, 236.6, 323.4, 338.7, 604.3, 167.1, 302.4, 169.5, 53.2, 525.2, 447.5
Calculated mass density (g cm⁻³), listed in the same order as above: 6.83, 5.12, 5.69, 5.76, 7.14, 4.98, 5.01, 7.23, 9.72, 11.40, 9.28, 4.75, 7.13, 4.74, 7.03, 5.98, 8.16, 5.35
Calculated uncorrected energy (eV per atom), listed in the same order as above: -30.755, -18.095, -20.013, -20.305, -14.199, -15.210, -15.217, -21.088, -37.037, -30.461, -22.854, -14.155, -24.058, -14.152, -24.047, -19.123, -28.927, -18.013